# 1
{"formula": "YTa3Si3S3O24", "functional": "PBE", "state": "relaxed", "total_magnetization_mub_per_fu": 0.00, "spacegroup": "P1 (1)", "final_energy_ev_per_atom": -7.902, "cell": [[8.9837, 0.0000, 0.0000], [-4.4910, 7.7890, 0.0000], [-0.2235, -0.1598, 23.1242]], "species": ["Y", "Y", "Y", "Ta", "Ta", "Ta", "Ta", "Ta", "Ta", "Ta", "Ta", "Ta", "Si", "Si", "Si", "Si", "Si", "Si", "Si", "Si", "Si", "S", "S", "S", "S", "S", "S", "S", "S", "S", "O", "O", "O", "O", "O", "O", "O", "O", "O", "O", "O", "O", "O", "O", "O", "O", "O", "O", "O", "O", "O", "O", "O", "O", "O", "O", "O", "O", "O", "O", "O", "O", "O", "O", "O", "O", "O", "O", "O", "O", "O", "O", "O", "O", "O", "O", "O", "O", "O", "O", "O", "O", "O", "O", "O", "O", "O", "O", "O", "O", "O", "O", "O", "O", "O", "O", "O", "O", "O", "O", "O", "O"], "frac_coords": [[0.0000, 0.0000, 0.0000], [0.0146, 0.0035, 0.4887], [0.6771, 0.3306, 0.8196], [0.0094, 0.0088, 0.2099], [0.3269, 0.6651, 0.6612], [0.3396, 0.6725, 0.8719], [0.3431, 0.6694, 0.3753], [0.3560, 0.6725, 0.1645], [0.6571, 0.3357, 0.3252], [0.6641, 0.3261, 0.0453], [0.6860, 0.3417, 0.5365], [0.9913, 0.9954, 0.7077], [0.0618, 0.6801, 0.7658], [0.2884, 0.2871, 0.1035], [0.3343, 0.9437, 0.2691], [0.3940, 0.3405, 0.4332], [0.6196, 0.9339, 0.7666], [0.6294, 0.6732, 0.2693], [0.7173, 0.9959, 0.1023], [0.9578, 0.6052, 0.4296], [0.9984, 0.2809, 0.6008], [0.0038, 0.7003, 0.1033], [0.0522, 0.3788, 0.2684], [0.2987, 0.0009, 0.6028], [0.3222, 0.3775, 0.7662], [0.3892, 0.0369, 0.9346], [0.6565, 0.6073, 0.9340], [0.6591, 0.0466, 0.4324], [0.7100, 0.7008, 0.6031], [0.9655, 0.3426, 0.9344], [0.0361, 0.2039, 0.5456], [0.0385, 0.2041, 0.2607], [0.0407, 0.8007, 0.0506], [0.0596, 0.8571, 0.7523], [0.1276, 0.4823, 0.2165], [0.1401, 0.5020, 0.9260], [0.1430, 0.6637, 0.1157], [0.1447, 0.6181, 0.4199], [0.1617, 0.4725, 0.6183], [0.1620, 0.6546, 0.7113], [0.1635, 0.4553, 0.3201], [0.1654, 0.2051, 0.7586], [0.1686, 0.9693, 0.2540], [0.1837, 0.6989, 0.8246], [0.1903, 0.9533, 0.5513], [0.1909, 0.2146, 0.0438], [0.1961, 0.1570, 0.1580], [0.2114, 0.1744, 0.4358], [0.2131, 0.0243, 0.6538], [0.2136, 0.9984, 0.9434], [0.2949, 0.4562, 0.8196], [0.3048, 0.8209, 0.3249], [0.3123, 0.4733, 0.1197], [0.3263, 0.8479, 0.6140], [0.3451, 0.4826, 0.7146], [0.3518, 0.8429, 0.2132], [0.3834, 0.8636, 0.9279], [0.3884, 0.5174, 0.4217], [0.4640, 0.1378, 0.8835], [0.4699, 0.1514, 0.5952], [0.4718, 0.3585, 0.7725], [0.4882, 0.3138, 0.0895], [0.4921, 0.3181, 0.3763], [0.4938, 0.6178, 0.9272], [0.4967, 0.8756, 0.4277], [0.5005, 0.1241, 0.9872], [0.5046, 0.6373, 0.2124], [0.5070, 0.1304, 0.2797], [0.5072, 0.8277, 0.7109], [0.5153, 0.3604, 0.4913], [0.5218, 0.8421, 0.1172], [0.5291, 0.8124, 0.8255], [0.5313, 0.6979, 0.3239], [0.5352, 0.6694, 0.6163], [0.6331, 0.1140, 0.7724], [0.6358, 0.1281, 0.4864], [0.6371, 0.4995, 0.9864], [0.6486, 0.5014, 0.2771], [0.6751, 0.5260, 0.8824], [0.6792, 0.1478, 0.3808], [0.6982, 0.1710, 0.0880], [0.6975, 0.5292, 0.5961], [0.7762, 0.8054, 0.5519], [0.7780, 0.9507, 0.0442], [0.8032, 0.7794, 0.9413], [0.8047, 0.0208, 0.4389], [0.8104, 0.9497, 0.7567], [0.8172, 0.8374, 0.2542], [0.8266, 0.3018, 0.5917], [0.8281, 0.7872, 0.6548], [0.8398, 0.4930, 0.3749], [0.8430, 0.5252, 0.0909], [0.8455, 0.0283, 0.1573], [0.8609, 0.3175, 0.8827], [0.8666, 0.4835, 0.4897], [0.8774, 0.3485, 0.2760], [0.8777, 0.5187, 0.7716], [0.8839, 0.3691, 0.9864], [0.9624, 0.7799, 0.4399], [0.9655, 0.7780, 0.1529], [0.9756, 0.1554, 0.6581], [0.9925, 0.1959, 0.9404]]}


# 2
{"formula": "Ta2Zn2SiS5O24", "functional": "PBE", "state": "relaxed", "total_magnetization_mub_per_fu": 0.00, "spacegroup": "P1 (1)", "final_energy_ev_per_atom": -6.757, "cell": [[8.7804, 0.0000, 0.0000], [-4.3646, 7.6265, 0.0000], [-0.0623, -0.0420, 22.6270]], "species": ["Ta", "Ta", "Ta", "Ta", "Ta", "Ta", "Zn", "Zn", "Zn", "Zn", "Zn", "Zn", "Si", "Si", "Si", "S", "S", "S", "S", "S", "S", "S", "S", "S", "S", "S", "S", "S", "S", "S", "O", "O", "O", "O", "O", "O", "O", "O", "O", "O", "O", "O", "O", "O", "O", "O", "O", "O", "O", "O", "O", "O", "O", "O", "O", "O", "O", "O", "O", "O", "O", "O", "O", "O", "O", "O", "O", "O", "O", "O", "O", "O", "O", "O", "O", "O", "O", "O", "O", "O", "O", "O", "O", "O", "O", "O", "O", "O", "O", "O", "O", "O", "O", "O", "O", "O", "O", "O", "O", "O", "O", "O"], "frac_coords": [[0.0000, 0.0000, 0.0000], [0.0055, 0.0013, 0.2155], [0.3365, 0.6645, 0.3843], [0.6555, 0.3352, 0.0464], [0.6611, 0.3167, 0.5484], [0.9943, 0.9899, 0.7175], [0.3314, 0.6535, 0.1692], [0.3333, 0.6616, 0.6757], [0.3392, 0.6572, 0.8815], [0.6667, 0.3221, 0.3402], [0.6673, 0.3390, 0.8392], [0.9902, 0.9924, 0.5043], [0.2857, 0.2890, 0.1088], [0.6570, 0.6172, 0.9370], [0.6787, 0.0455, 0.4395], [0.0041, 0.2863, 0.6092], [0.0401, 0.3758, 0.2748], [0.0433, 0.6538, 0.7753], [0.2814, 0.9898, 0.6082], [0.3329, 0.9462, 0.2741], [0.3349, 0.3732, 0.7745], [0.3757, 0.3237, 0.4416], [0.3773, 0.0366, 0.9416], [0.6158, 0.9552, 0.7754], [0.6193, 0.6567, 0.2757], [0.7058, 0.7050, 0.6088], [0.7115, 0.9942, 0.1087], [0.9501, 0.6156, 0.4416], [0.9507, 0.3311, 0.9418], [0.9994, 0.7090, 0.1090], [0.0185, 0.8175, 0.0567], [0.0233, 0.1911, 0.2668], [0.0230, 0.8234, 0.7633], [0.0288, 0.2073, 0.5566], [0.1219, 0.4782, 0.2225], [0.1230, 0.4827, 0.9378], [0.1239, 0.6369, 0.7210], [0.1278, 0.6221, 0.4324], [0.1480, 0.4611, 0.6198], [0.1533, 0.6994, 0.8278], [0.1538, 0.6949, 0.1173], [0.1550, 0.4506, 0.3284], [0.1602, 0.1763, 0.0540], [0.1609, 0.9535, 0.2677], [0.1662, 0.1864, 0.7615], [0.1790, 0.9682, 0.5552], [0.1860, 0.1512, 0.1669], [0.1989, 0.0216, 0.9540], [0.2008, 0.0253, 0.6614], [0.2043, 0.1774, 0.4531], [0.2857, 0.4353, 0.8264], [0.2983, 0.8299, 0.3280], [0.3070, 0.4738, 0.1178], [0.3143, 0.8466, 0.6182], [0.3517, 0.8623, 0.9383], [0.3551, 0.8641, 0.2218], [0.3581, 0.4749, 0.7207], [0.3594, 0.4895, 0.4336], [0.4458, 0.1456, 0.8898], [0.4548, 0.3037, 0.3885], [0.4613, 0.1612, 0.6009], [0.4733, 0.2891, 0.0995], [0.4740, 0.1229, 0.2832], [0.4776, 0.3360, 0.7812], [0.4882, 0.8479, 0.4305], [0.4902, 0.1261, 0.9963], [0.4904, 0.6398, 0.9372], [0.4949, 0.3656, 0.4956], [0.5134, 0.6324, 0.2236], [0.5171, 0.8780, 0.7209], [0.5322, 0.6895, 0.3296], [0.5327, 0.6800, 0.6198], [0.5411, 0.8443, 0.1172], [0.5528, 0.8436, 0.8271], [0.6331, 0.1377, 0.4994], [0.6396, 0.4923, 0.9991], [0.6448, 0.5090, 0.2874], [0.6503, 0.1336, 0.7834], [0.6908, 0.1544, 0.3834], [0.6944, 0.5277, 0.6009], [0.7062, 0.1584, 0.1009], [0.7128, 0.5364, 0.8851], [0.7870, 0.8106, 0.5569], [0.7958, 0.8217, 0.2682], [0.7976, 0.9667, 0.0565], [0.8036, 0.9726, 0.7628], [0.8249, 0.7898, 0.6623], [0.8273, 0.0207, 0.1628], [0.8295, 0.0059, 0.4532], [0.8337, 0.8059, 0.9581], [0.8358, 0.3013, 0.6007], [0.8403, 0.5315, 0.1010], [0.8408, 0.2843, 0.8897], [0.8459, 0.5421, 0.3888], [0.8608, 0.3453, 0.9967], [0.8651, 0.3480, 0.2829], [0.8661, 0.5084, 0.7802], [0.8683, 0.4985, 0.4953], [0.9609, 0.7877, 0.1628], [0.9643, 0.1679, 0.6619], [0.9703, 0.1682, 0.9537], [0.9868, 0.7915, 0.4534]]}


# 3
{"formula": "Zr2Ta2Si3S3O24", "functional": "PBE", "state": "relaxed", "total_magnetization_mub_per_fu": 0.00, "spacegroup": "P1 (1)", "final_energy_ev_per_atom": -7.886, "cell": [[8.9813, 0.0000, 0.0000], [4.4873, 7.7920, 0.0000], [0.1757, 0.1265, 23.1162]], "species": ["Zr", "Zr", "Zr", "Zr", "Zr", "Zr", "Ta", "Ta", "Ta", "Ta", "Ta", "Ta", "Si", "Si", "Si", "Si", "Si", "Si", "Si", "Si", "Si", "S", "S", "S", "S", "S", "S", "S", "S", "S", "O", "O", "O", "O", "O", "O", "O", "O", "O", "O", "O", "O", "O", "O", "O", "O", "O", "O", "O", "O", "O", "O", "O", "O", "O", "O", "O", "O", "O", "O", "O", "O", "O", "O", "O", "O", "O", "O", "O", "O", "O", "O", "O", "O", "O", "O", "O", "O", "O", "O", "O", "O", "O", "O", "O", "O", "O", "O", "O", "O", "O", "O", "O", "O", "O", "O", "O", "O", "O", "O", "O", "O"], "frac_coords": [[0.0000, 0.0000, 0.0000], [0.0041, 0.9895, 0.4959], [0.3330, 0.3358, 0.3333], [0.3521, 0.3119, 0.8300], [0.6556, 0.6699, 0.6599], [0.6797, 0.6423, 0.1634], [0.0175, 0.9779, 0.2111], [0.3381, 0.3326, 0.0480], [0.3571, 0.3083, 0.5434], [0.6713, 0.6634, 0.3811], [0.6720, 0.6545, 0.8759], [0.9883, 0.9976, 0.7048], [0.0071, 0.2712, 0.1048], [0.2782, 0.0002, 0.6028], [0.2874, 0.7073, 0.1039], [0.3372, 0.6080, 0.4383], [0.6215, 0.0375, 0.4362], [0.6212, 0.3240, 0.9378], [0.6768, 0.9365, 0.7698], [0.7134, 0.2790, 0.6019], [0.9523, 0.6574, 0.2708], [0.0066, 0.6987, 0.6041], [0.0451, 0.3268, 0.4372], [0.0456, 0.6065, 0.9372], [0.3394, 0.0311, 0.9368], [0.3780, 0.6610, 0.7714], [0.3819, 0.9401, 0.2710], [0.6736, 0.3633, 0.2707], [0.7117, 0.9918, 0.1046], [0.9532, 0.3664, 0.7712], [0.0188, 0.7783, 0.9457], [0.0205, 0.1788, 0.4434], [0.0303, 0.1486, 0.1612], [0.0312, 0.7847, 0.6573], [0.1187, 0.3594, 0.4889], [0.1218, 0.3472, 0.7830], [0.1236, 0.4954, 0.9895], [0.1394, 0.4928, 0.2796], [0.1489, 0.2994, 0.3848], [0.1487, 0.5272, 0.8853], [0.1598, 0.5287, 0.5978], [0.1597, 0.7977, 0.1610], [0.1605, 0.0160, 0.6622], [0.1760, 0.7952, 0.4473], [0.1790, 0.2877, 0.0889], [0.1908, 0.0060, 0.9436], [0.1939, 0.8147, 0.0466], [0.1957, 0.9609, 0.5487], [0.2042, 0.9563, 0.2632], [0.2079, 0.8148, 0.7646], [0.2928, 0.1729, 0.5928], [0.3038, 0.5138, 0.0936], [0.3062, 0.5219, 0.3815], [0.3084, 0.1392, 0.8850], [0.3530, 0.1132, 0.2791], [0.3538, 0.5113, 0.7814], [0.3615, 0.4819, 0.4943], [0.3699, 0.1070, 0.9884], [0.4578, 0.8291, 0.3232], [0.4666, 0.6824, 0.8238], [0.4676, 0.8359, 0.6141], [0.4721, 0.6811, 0.1164], [0.4821, 0.8629, 0.2191], [0.4877, 0.6241, 0.7204], [0.4927, 0.3504, 0.9935], [0.4954, 0.1257, 0.4940], [0.4956, 0.8553, 0.9264], [0.5084, 0.1240, 0.7810], [0.5115, 0.6206, 0.4225], [0.5233, 0.2945, 0.5954], [0.5227, 0.3409, 0.2772], [0.5257, 0.3012, 0.8820], [0.5269, 0.1481, 0.3797], [0.5356, 0.1496, 0.0946], [0.6361, 0.8454, 0.4267], [0.6393, 0.4962, 0.9232], [0.6410, 0.4721, 0.2187], [0.6458, 0.8449, 0.7164], [0.6836, 0.8471, 0.1125], [0.6922, 0.4608, 0.6186], [0.6958, 0.8144, 0.8280], [0.7007, 0.4430, 0.3221], [0.7877, 0.0255, 0.1558], [0.8048, 0.1505, 0.6612], [0.8066, 0.1581, 0.9467], [0.8082, 0.0076, 0.4476], [0.8157, 0.9628, 0.0519], [0.8257, 0.6823, 0.3270], [0.8281, 0.1905, 0.2606], [0.8310, 0.1862, 0.5480], [0.8389, 0.4516, 0.8244], [0.8446, 0.4597, 0.1127], [0.8479, 0.9554, 0.7604], [0.8559, 0.6780, 0.6144], [0.8577, 0.6373, 0.2148], [0.8681, 0.4825, 0.4278], [0.8697, 0.6215, 0.9280], [0.8758, 0.4731, 0.7202], [0.9676, 0.8335, 0.2584], [0.9687, 0.1941, 0.7647], [0.9716, 0.8073, 0.5532], [0.9730, 0.1876, 0.0480]]}


# 4
{"formula": "Tb4Si2S3O7", "functional": "PBE", "state": "relaxed", "total_magnetization_mub_per_fu": 0.00, "spacegroup": "I4_1/amd (141)", "final_energy_ev_per_atom": -7.650, "cell": [[-5.8861, 5.8861, 6.8831], [5.8861, -5.8861, 6.8831], [5.8861, 5.8861, -6.8831]], "species": ["Tb", "Tb", "Tb", "Tb", "Tb", "Tb", "Tb", "Tb", "Tb", "Tb", "Tb", "Tb", "Tb", "Tb", "Tb", "Tb", "Si", "Si", "Si", "Si", "Si", "Si", "Si", "Si", "S", "S", "S", "S", "S", "S", "S", "S", "S", "S", "S", "S", "O", "O", "O", "O", "O", "O", "O", "O", "O", "O", "O", "O", "O", "O", "O", "O", "O", "O", "O", "O", "O", "O", "O", "O", "O", "O", "O", "O"], "frac_coords": [[0.0471, 0.2971, 0.0943], [0.0471, 0.9529, 0.7500], [0.1723, 0.6582, 0.5141], [0.2971, 0.0471, 0.5943], [0.2971, 0.7029, 0.2500], [0.3418, 0.3559, 0.5141], [0.3418, 0.8277, 0.9859], [0.3559, 0.3418, 0.0141], [0.6441, 0.6582, 0.9859], [0.6582, 0.1723, 0.0141], [0.6582, 0.6441, 0.4859], [0.7029, 0.2971, 0.7500], [0.7029, 0.9529, 0.4057], [0.8277, 0.3418, 0.4859], [0.9529, 0.0471, 0.2500], [0.9529, 0.7029, 0.9057], [0.0963, 0.2213, 0.6250], [0.0963, 0.4713, 0.8750], [0.2213, 0.0963, 0.1250], [0.4713, 0.0963, 0.3750], [0.5287, 0.9037, 0.6250], [0.7787, 0.9037, 0.8750], [0.9037, 0.5287, 0.1250], [0.9037, 0.7787, 0.3750], [0.0000, 0.3534, 0.3534], [0.0000, 0.6466, 0.6466], [0.1250, 0.8750, 0.2500], [0.3534, 0.0000, 0.8534], [0.3534, 0.5000, 0.3534], [0.3750, 0.6250, 0.7500], [0.5000, 0.3534, 0.8534], [0.5000, 0.6466, 0.1466], [0.6250, 0.3750, 0.2500], [0.6466, 0.0000, 0.1466], [0.6466, 0.5000, 0.6466], [0.8750, 0.1250, 0.7500], [0.0809, 0.5668, 0.2316], [0.0809, 0.8493, 0.5141], [0.1489, 0.3989, 0.7500], [0.1507, 0.1648, 0.2316], [0.1507, 0.9191, 0.9859], [0.1648, 0.1507, 0.7316], [0.1648, 0.4332, 0.0141], [0.1742, 0.1923, 0.5181], [0.1742, 0.6562, 0.9819], [0.1923, 0.1742, 0.0181], [0.3438, 0.8258, 0.5181], [0.3989, 0.1489, 0.2500], [0.4332, 0.1648, 0.5141], [0.4332, 0.9191, 0.2684], [0.5668, 0.0809, 0.7316], [0.5668, 0.8352, 0.4859], [0.6011, 0.8511, 0.7500], [0.6562, 0.1742, 0.4819], [0.8077, 0.8258, 0.9819], [0.8258, 0.3438, 0.0181], [0.8258, 0.8077, 0.4819], [0.8352, 0.5668, 0.9859], [0.8352, 0.8493, 0.2684], [0.8493, 0.0809, 0.0141], [0.8493, 0.8352, 0.7684], [0.8511, 0.6011, 0.2500], [0.9191, 0.1507, 0.4859], [0.9191, 0.4332, 0.7684]]}